Below is a geometry-optimized Li4Ti2V7O18 structure, with properties calculated at the PBE with a Hubbard U level.

Properties
magnetic moment: 22.0 μB/cell
SG: Pmc2_1
energy of formation: -253.0 kJ per mole of atoms

Lattice parameters (Å, degrees): 2.9681 9.1105 25.1255 90.00 90.00 90.00
With the nearest neighbours (Å) after each atom.
Fractional coordinates of all 62 atoms:
1 Li 0.5000 0.9425 0.9890  4 O 2.10-2.23
2 Li 0.5000 0.9342 0.1952  2 O 2.17
3 Li 0.5000 0.0658 0.6952  2 O 2.17
4 Li 0.5000 0.0575 0.4890  4 O 2.10-2.23
5 Li 0.5000 0.4441 0.5106  4 O 2.09-2.24
6 Li 0.5000 0.4398 0.3079  4 O 2.17-2.40
7 Li 0.5000 0.5602 0.8079  4 O 2.17-2.40
8 Li 0.5000 0.5559 0.0106  4 O 2.09-2.24
9 Ti 0.5000 0.7395 0.1019  6 O 1.91-2.12
10 Ti 0.5000 0.2605 0.6019  6 O 1.91-2.12
11 Ti 0.5000 0.2457 0.3987  6 O 1.89-2.10
12 Ti 0.5000 0.7543 0.8987  6 O 1.89-2.10
13 V 0.5000 0.7505 0.5003  6 O 1.89-2.01
14 V 0.5000 0.7625 0.3085  5 O 1.97-2.03
15 V 0.0000 0.9054 0.5855  6 O 1.99-2.05
16 V 0.0000 0.9006 0.8048  6 O 1.94-2.01
17 V 0.0000 0.0994 0.3048  6 O 1.94-2.01
18 V 0.0000 0.0946 0.0855  6 O 1.99-2.05
19 V 0.5000 0.2375 0.8085  5 O 1.97-2.03
20 V 0.5000 0.2495 0.0003  6 O 1.89-2.01
21 V 0.5000 0.2637 0.1899  5 O 1.97-2.01
22 V 0.0000 0.4026 0.9143  6 O 1.99-2.06
23 V 0.0000 0.4006 0.6951  6 O 1.91-2.00
24 V 0.0000 0.5994 0.1951  6 O 1.91-2.00
25 V 0.0000 0.5974 0.4143  6 O 1.99-2.06
26 V 0.5000 0.7363 0.6899  5 O 1.97-2.01
27 O 0.5000 0.7472 0.4244  3 V 1.91-2.03
28 O 0.5000 0.7558 0.5755  3 V 1.89-2.03
29 O 0.0000 0.8148 0.9419  2 Ti 1.92
30 O 0.0000 0.7914 0.1591  1 V 1.97, 2 Ti 2.12, 2 Li 2.17
31 O 0.0000 0.8659 0.6632  3 V 1.99-2.01
32 O 0.5000 0.8515 0.7561  3 V 1.97-1.98
33 O 0.0000 0.8996 0.5038  3 V 2.01-2.05, 2 Li 2.10
34 O 0.0000 0.8937 0.2851  3 V 1.94-1.99
35 O 0.5000 0.9407 0.8543  2 V 1.97, 1 Ti 2.03
36 O 0.5000 0.9455 0.0839  1 Ti 1.93, 2 V 2.01
37 O 0.5000 0.0545 0.5839  1 Ti 1.93, 2 V 2.01
38 O 0.5000 0.0593 0.3543  2 V 1.97, 1 Ti 2.03
39 O 0.0000 0.1063 0.7851  3 V 1.94-1.99
40 O 0.0000 0.1004 0.0038  3 V 2.01-2.05, 2 Li 2.10
41 O 0.5000 0.1485 0.2561  3 V 1.97-1.98
42 O 0.0000 0.1341 0.1632  3 V 1.99-2.01
43 O 0.0000 0.2086 0.6591  1 V 1.97, 2 Ti 2.12, 2 Li 2.17
44 O 0.0000 0.1852 0.4419  2 Ti 1.92
45 O 0.5000 0.2442 0.0755  3 V 1.89-2.03
46 O 0.5000 0.2528 0.9244  3 V 1.91-2.03
47 O 0.0000 0.3154 0.5582  2 Ti 1.91
48 O 0.0000 0.2944 0.3424  1 V 2.01, 2 Ti 2.10, 2 Li 2.17
49 O 0.0000 0.3686 0.8362  3 V 1.99-2.03
50 O 0.5000 0.3498 0.7415  3 V 1.94-1.97
51 O 0.0000 0.3986 0.9963  3 V 2.01-2.06, 2 Li 2.09
52 O 0.0000 0.3964 0.2143  3 V 1.91-2.01
53 O 0.5000 0.4417 0.6439  1 Ti 1.96, 2 V 2.00
54 O 0.5000 0.4474 0.4170  1 Ti 1.89, 2 V 2.02
55 O 0.5000 0.5526 0.9170  1 Ti 1.89, 2 V 2.02
56 O 0.5000 0.5583 0.1439  1 Ti 1.96, 2 V 2.00
57 O 0.0000 0.6036 0.7143  3 V 1.91-2.01
58 O 0.0000 0.6014 0.4963  3 V 2.01-2.06, 2 Li 2.09
59 O 0.5000 0.6502 0.2415  3 V 1.94-1.97
60 O 0.0000 0.6314 0.3362  3 V 1.99-2.03
61 O 0.0000 0.7056 0.8424  1 V 2.01, 2 Ti 2.10, 2 Li 2.17
62 O 0.0000 0.6846 0.0582  2 Ti 1.91


Below is a geometry-optimized Ba2YMn3O7 structure, with properties calculated at the PBE with a Hubbard U level.

Properties
magnetic moment: 27.1 μB/cell
SG: Fmm2
energy of formation: -254.9 kJ per mole of atoms
energy above the most stable polymorph in this dataset: 1 kJ/mol of formula units

Lattice parameters (Å, degrees): 5.6736 12.4711 5.6737 77.36 92.18 77.36
With the nearest neighbours (Å) after each atom.
Fractional coordinates of all 26 atoms:
1 Ba 0.5907 0.8184 0.0907  10 O 2.84-3.13
2 Ba 0.0908 0.8184 0.5908  10 O 2.84-3.13
3 Ba 0.9091 0.1818 0.4091  10 O 2.84-3.12
4 Ba 0.4091 0.1818 0.9091  10 O 2.84-3.12
5 Y 0.7501 0.4998 0.2501  8 O 2.43-2.48
6 Y 0.2501 0.4998 0.7501  8 O 2.43-2.48
7 Mn 0.0001 0.9998 0.0001  4 O 1.91-1.96
8 Mn 0.8265 0.3471 0.8265  5 O 2.01-2.15
9 Mn 0.3260 0.3481 0.3260  5 O 2.01-2.10
10 Mn 0.4997 0.0005 0.4997  4 O 2.01-2.17
11 Mn 0.1736 0.6528 0.1736  5 O 2.01-2.15
12 Mn 0.6742 0.6516 0.6742  5 O 2.01-2.10
13 O 0.7658 0.0004 0.2339  1 Mn 1.91
14 O 0.2338 0.0004 0.7658  1 Mn 1.91
15 O 0.9407 0.6186 0.9407  2 Mn 2.01
16 O 0.4407 0.6186 0.4406  2 Mn 2.01
17 O 0.5596 0.3812 0.5596  2 Mn 2.01
18 O 0.0592 0.3812 0.0592  2 Mn 2.01
19 O 0.9398 0.6205 0.4396  2 Mn 2.08
20 O 0.4396 0.6205 0.9398  2 Mn 2.08
21 O 0.5607 0.3791 0.0603  2 Mn 2.08
22 O 0.0603 0.3791 0.5607  2 Mn 2.08
23 O 0.0826 0.8347 0.0827  2 Mn 1.95-2.15
24 O 0.5852 0.8294 0.5852  2 Mn 2.03-2.10
25 O 0.9171 0.1658 0.9172  2 Mn 1.96-2.15
26 O 0.4148 0.1705 0.4148  2 Mn 2.01-2.10


Below is a geometry-optimized Sr3NbCoO7 structure, with properties calculated at the PBE with a Hubbard U level.

Properties
magnetic moment: 0.0 μB/cell
SG: P1
energy of formation: -273.0 kJ per mole of atoms
energy above the most stable polymorph in this dataset: 8 kJ/mol of formula units

Lattice parameters (Å, degrees): 7.9534 11.0997 8.8994 85.40 116.54 79.68
With the nearest neighbours (Å) after each atom.
Fractional coordinates of all 48 atoms:
1 Sr 0.2313 0.3843 0.1549  1 O 2.37
2 Sr 0.7316 0.3825 0.1536  1 O 2.35
3 Sr 0.9817 0.3827 0.6548  1 O 2.35
4 Sr 0.4804 0.3842 0.6532  1 O 2.37
5 Sr 0.7614 0.6344 0.8412  9 O 2.60-2.90
6 Sr 0.2615 0.6348 0.8405  9 O 2.61-2.88
7 Sr 0.5132 0.6331 0.3422  9 O 2.59-2.88
8 Sr 0.0121 0.6330 0.3422  9 O 2.59-2.87
9 Sr 0.6397 0.9604 0.7611  5 O 2.57-2.86
10 Sr 0.1391 0.9610 0.7591  5 O 2.57-2.88
11 Sr 0.3944 0.9611 0.2598  8 O 2.59-2.88
12 Sr 0.8838 0.9605 0.2589  8 O 2.59-2.89
13 Nb 0.9266 0.1958 0.9515  6 O 1.92-2.11
14 Nb 0.4262 0.1963 0.9505  6 O 1.92-2.10
15 Nb 0.6766 0.1957 0.4512  6 O 1.92-2.10
16 Nb 0.1762 0.1956 0.4504  6 O 1.92-2.11
17 Co 0.0804 0.7888 0.0547  5 O 1.88-2.09
18 Co 0.8284 0.7853 0.5504  4 O 1.91-1.97
19 Co 0.5818 0.7845 0.0568  4 O 1.91-1.97
20 Co 0.3279 0.7895 0.5506  5 O 1.88-2.09
21 O 0.9953 0.0169 0.0018  1 Nb 1.92
22 O 0.4949 0.0174 0.9954  1 Nb 1.92
23 O 0.7425 0.0170 0.4948  1 Nb 1.92
24 O 0.2422 0.0167 0.4909  1 Nb 1.92
25 O 0.1553 0.6049 0.1090  1 Co 1.98
26 O 0.6462 0.6011 0.0916  1 Co 1.97
27 O 0.9033 0.6016 0.6067  1 Co 1.97
28 O 0.3937 0.6050 0.5902  1 Co 1.98
29 O 0.8533 0.3922 0.9012  1 Nb 2.11
30 O 0.3524 0.3921 0.9013  1 Nb 2.10
31 O 0.6047 0.3915 0.4027  1 Nb 2.10
32 O 0.1030 0.3919 0.4030  1 Nb 2.11
33 O 0.9556 0.8091 0.8157  1 Co 1.88
34 O 0.4373 0.8087 0.7801  1 Co 1.88
35 O 0.6984 0.8012 0.2995  2 Co 1.97
36 O 0.1970 0.8095 0.2980  2 Co 1.98-1.99
37 O 0.8115 0.8052 0.0484  2 Co 1.91-2.09
38 O 0.3334 0.8070 0.0472  2 Co 1.91-2.09
39 O 0.5845 0.8064 0.5497  2 Co 1.91-2.09
40 O 0.0607 0.8068 0.5484  2 Co 1.91-2.09
41 O 0.0468 0.2098 0.1976  2 Nb 1.99
42 O 0.5474 0.2063 0.1983  2 Nb 2.00
43 O 0.7985 0.2050 0.6992  2 Nb 1.99-2.00
44 O 0.2977 0.2057 0.6980  2 Nb 1.99
45 O 0.1726 0.2063 0.9483  2 Nb 1.99
46 O 0.6721 0.2078 0.9477  2 Nb 1.99
47 O 0.9232 0.2058 0.4489  2 Nb 1.99
48 O 0.4224 0.2076 0.4484  2 Nb 1.99


- Among the records above, which one has the lowest energy of formation?
  Sr3NbCoO7